Record 1
The following is a DFT calculation (PBE with a Hubbard U) of MgFe6O6F6 after structural relaxation.

extended XYZ file:
```
19
Lattice="5.158 -0.225 -0.010 -0.701 14.327 -0.774 -0.007 -0.160 3.108" Properties=species:S:1:pos:R:3 pbc="T T T"
F 4.529 5.383 1.884
O 0.742 10.783 2.215
Fe 1.461 11.762 0.709
Fe 4.443 13.938 -0.751
Fe 4.235 9.459 2.148
F 2.661 12.672 2.303
Fe 0.168 4.458 0.277
F 0.068 8.408 0.529
Fe 3.009 1.896 1.683
O 0.149 13.234 0.772
F 1.244 3.344 1.773
O 4.400 0.675 1.632
O 1.821 5.704 0.367
F 3.162 10.543 0.643
O 3.520 3.277 0.196
Mg 2.721 4.754 1.882
F 1.909 1.200 0.092
O 2.708 8.053 2.066
Fe 1.816 7.604 0.482
```

Energy relative to the lowest polymorph listed for this composition: 12 meV per atom
M_tot: 28.00 Bohr magnetons per cell
Energy of formation: -40.501 eV/f.u.

=====

Record 2
The following is a DFT calculation (PBE with a Hubbard U) of La4Ni3O10 after structural relaxation.

extended XYZ file:
```
34
Lattice="2.110 1.822 -13.949 -7.178 -2.468 12.030 -0.909 5.433 0.572" Properties=species:S:1:pos:R:3 pbc="T T T"
La -3.162 -0.613 0.798
O -2.665 1.503 -5.107
O 0.057 1.109 -8.286
O -1.866 3.951 -0.281
Ni -1.688 2.984 -4.307
Ni -4.289 1.803 2.960
O -6.034 3.677 6.940
O -1.009 3.543 -6.290
Ni -2.988 2.393 -0.673
Ni -0.096 6.646 -9.745
O -0.132 1.826 -4.148
La -1.587 5.904 -5.556
O -3.311 3.283 3.761
O -2.733 0.624 3.128
O 0.618 6.635 -11.627
Ni 0.000 0.000 0.000
O -5.845 2.960 2.802
O -4.400 3.628 -1.240
O -0.710 4.485 -3.515
O -4.110 0.836 -1.065
O -1.577 1.159 -0.106
La -0.180 3.628 -8.506
O -3.244 4.162 -4.474
La -7.004 0.538 10.559
O -5.267 0.301 2.169
La -4.390 -1.117 4.210
La -5.796 1.159 7.160
O -6.595 -1.848 10.281
La 1.028 4.248 -11.906
O -4.968 1.243 4.944
O -2.296 2.363 -2.492
La -2.815 5.400 -2.144
O -3.681 2.424 1.145
Ni -5.881 -1.859 8.399
```

Energy relative to the lowest polymorph listed for this composition: 0 meV per atom
M_tot: 8.00 Bohr magnetons per cell
Energy of formation: -46.189 eV/f.u.

=====

Record 3
The following is a DFT calculation (PBE with a Hubbard U) of SrCrSnBiO6 after structural relaxation.

extended XYZ file:
```
10
Lattice="-3.562 -1.048 -4.296 -4.643 -3.151 0.866 -5.134 2.424 -0.087" Properties=species:S:1:pos:R:3 pbc="T T T"
O -5.093 -0.969 -3.046
Bi -10.004 -1.331 -2.637
Sn -6.669 -0.888 -1.758
O -7.448 -2.568 -2.606
O -5.890 0.793 -0.910
O -5.641 -2.036 -0.427
Sr -3.335 -0.444 -0.879
O -8.246 -0.806 -0.471
Cr 0.000 0.000 0.000
O -7.697 0.261 -3.090
```

M_tot: 3.00 Bohr magnetons per cell
Energy of formation: -21.602 eV/f.u.

=====

Record 4
The following is a DFT calculation (PBE with a Hubbard U) of Li3CrP2O9 after structural relaxation.

extended XYZ file:
```
60
Lattice="8.839 0.000 0.000 0.000 6.824 0.000 0.000 0.109 11.685" Properties=species:S:1:pos:R:3 pbc="T T T"
P 8.517 5.254 3.867
Li 0.834 1.857 8.838
O 8.731 5.197 5.383
O 6.930 0.375 6.883
O 7.086 2.946 6.907
O 4.712 0.361 8.448
O 4.311 1.735 6.302
O 8.566 3.797 9.076
O 4.147 3.136 2.609
O 4.771 5.451 5.034
Li 7.864 4.152 0.928
O 6.340 3.846 10.660
O 1.921 3.087 1.025
Cr 6.675 3.365 8.820
O 1.831 1.974 3.460
O 0.112 5.200 11.229
O 2.607 1.731 8.102
O 4.531 1.733 0.455
Li 5.397 0.777 4.918
O 1.491 1.918 10.657
O 2.667 3.986 4.778
O 6.229 1.765 2.265
Li 0.978 6.156 6.767
Cr 6.588 6.764 8.725
Li 8.004 1.670 2.997
O 0.293 6.572 3.237
Cr 2.255 3.568 2.864
O 1.756 0.534 1.092
Li 3.445 2.781 10.756
P 3.287 5.299 5.392
Li 2.250 5.679 11.579
Li 6.586 4.716 5.748
Li 6.669 1.253 0.105
O 1.809 5.167 9.419
Li 5.253 5.076 2.847
Cr 2.168 0.169 2.960
P 0.322 5.110 9.717
P 1.127 1.841 0.446
O 2.584 5.232 2.419
P 5.546 5.092 11.238
O 7.003 1.701 9.266
O 4.065 4.949 10.876
O 0.352 1.481 6.651
O 2.511 6.557 4.801
O 5.910 5.014 1.028
P 4.742 1.822 1.968
O 6.250 4.959 8.225
Li 2.167 2.216 5.937
O 2.931 5.290 6.872
O 7.350 1.643 4.813
O 4.060 0.612 2.728
O 0.322 4.042 3.096
O 4.741 2.891 8.589
O 7.027 5.202 3.583
P 7.707 1.634 6.292
O 8.480 6.320 8.957
Li 3.585 5.263 8.687
O 6.175 6.399 10.592
P 4.098 1.679 7.818
O 8.484 1.984 0.808
```

Energy relative to the lowest polymorph listed for this composition: 17 meV per atom
M_tot: 4.00 Bohr magnetons per cell
Energy of formation: -36.479 eV/f.u.

=====

Record 5
The following is a DFT calculation (PBE with a Hubbard U) of MgMn2Ni2O6 after structural relaxation.

extended XYZ file:
```
11
Lattice="4.676 0.078 3.457 1.786 4.322 3.457 0.114 0.078 5.814" Properties=species:S:1:pos:R:3 pbc="T T T"
Mn 5.439 3.703 10.526
Mg 0.000 0.000 0.000
Ni 4.237 2.885 8.200
O 4.444 4.145 6.609
O 4.359 1.862 4.430
Ni 2.339 1.593 4.527
O 2.132 0.333 6.119
O 4.890 1.104 7.448
O 2.217 2.616 8.297
Mn 1.137 0.774 2.201
O 1.686 3.374 5.279
```

Energy relative to the lowest polymorph listed for this composition: 377 meV per atom
M_tot: 3.12 Bohr magnetons per cell
Energy of formation: -14.795 eV/f.u.

=====

Record 6
The following is a DFT calculation (PBE with a Hubbard U) of NdMoClO4 after structural relaxation.

extended XYZ file:
```
56
Lattice="7.035 0.000 0.000 0.000 7.553 0.000 0.000 0.000 20.177" Properties=species:S:1:pos:R:3 pbc="T T T"
Cl 0.245 3.777 4.939
O 3.223 0.000 14.749
O 0.500 2.376 1.968
O 0.992 0.000 12.953
Mo 2.937 0.000 16.501
O 0.388 3.777 12.128
O 3.811 0.000 5.428
Cl 3.762 3.777 5.149
O 5.089 3.777 10.496
O 4.509 0.000 17.312
Cl 5.215 0.000 10.257
Cl 5.336 0.000 0.169
Mo 0.580 0.000 6.413
O 4.017 2.376 8.121
O 3.017 2.376 12.056
Mo 5.007 3.777 8.720
Nd 5.413 3.777 2.829
Cl 1.819 0.000 9.919
O 0.500 5.178 1.968
O 1.903 6.153 17.028
Nd 3.326 0.000 12.329
Nd 6.843 0.000 17.935
O 2.526 0.000 2.865
O 1.615 1.401 6.940
O 5.420 6.153 13.237
O 6.740 0.000 15.516
Cl 6.790 3.777 15.238
Mo 1.490 3.777 1.368
Mo 2.027 3.777 11.457
O 5.132 6.153 3.148
O 1.615 6.153 6.940
O 1.945 3.777 9.680
Mo 5.545 3.777 18.808
Nd 5.139 3.777 12.918
Cl 1.698 0.000 20.007
O 1.572 3.777 19.769
O 6.043 0.000 7.224
Cl 3.272 3.777 15.027
O 5.462 3.777 0.408
O 6.535 2.376 18.209
Nd 0.191 0.000 2.241
O 1.903 1.401 17.028
O 3.129 3.777 2.040
Nd 3.709 0.000 7.847
O 6.535 5.178 18.209
O 6.646 3.777 8.048
Nd 1.896 3.777 7.259
O 3.906 3.777 18.137
Mo 6.454 0.000 13.763
Mo 4.098 0.000 3.675
O 5.420 1.401 13.237
O 0.294 0.000 4.661
O 5.132 1.401 3.148
Nd 1.622 3.777 17.347
O 4.017 5.178 8.121
O 3.017 5.178 12.056
```

M_tot: 0.00 Bohr magnetons per cell
Energy of formation: -18.081 eV/f.u.

=====

no.,final energy (eV per atom),E (MP2020) (Ha/atom)
1,-5.982,-0.2594
2,-6.956,-0.2870
3,-6.441,-0.2592
4,-6.602,-0.2627
5,-5.766,-0.2538
6,-7.055,-0.2905